(1)
Material: AsRh2
Method: DFT, r2SCAN
State: relaxed

Output
As for the volume: 15.41 A^3/atom. The calculated density is 10.08 g/cm3. Its formation energy is -1.6 eV/f.u. As for the space group: Fm-3m, No. 225.

a = 4.0287 Å, b = 4.0287 Å, c = 4.0287 Å
α = 60.00°, β = 60.00°, γ = 60.00°
Fractional positions:
As 0.0000 0.0000 0.0000
Rh 0.2500 0.2500 0.2500
Rh 0.7500 0.7500 0.7500

(2)
Material: GaNi2
Method: DFT, r2SCAN
State: relaxed

Output
As for the volume: 11.43 A^3/atom. The calculated density is 9.06 g/cm3. Its formation energy is -0.9 eV/f.u. As for the space group: P6_3/mmc, No. 194.

a = 3.9941 Å, b = 3.9941 Å, c = 4.9638 Å
α = 90.00°, β = 90.00°, γ = 120.00°
Fractional positions:
Ga 0.3333 0.6667 0.2500
Ga 0.6667 0.3333 0.7500
Ni 0.0000 0.0000 0.0000
Ni 0.6667 0.3333 0.2500
Ni 0.3333 0.6667 0.7500
Ni 0.0000 0.0000 0.5000

(3)
Material: KZrF5
Method: DFT, r2SCAN
State: relaxed

Output
As for the volume: 13.59 A^3/atom. The calculated density is 3.93 g/cm3. Its formation energy is -26.8 eV/f.u. As for the space group: P-1, No. 2.

a = 7.3326 Å, b = 8.4467 Å, c = 10.6795 Å
α = 75.55°, β = 72.00°, γ = 66.47°
Fractional positions:
K 0.7115 0.5065 0.7695
K 0.7438 0.1545 0.0705
K 0.2228 0.1800 0.5756
K 0.7772 0.8200 0.4244
K 0.2562 0.8455 0.9295
K 0.2885 0.4935 0.2305
Zr 0.7663 0.6597 0.0812
Zr 0.7406 0.3337 0.4310
Zr 0.2594 0.6663 0.5690
Zr 0.2812 0.9725 0.2556
Zr 0.2337 0.3403 0.9188
Zr 0.7188 0.0275 0.7444
F 0.6285 0.1265 0.5546
F 0.9830 0.7206 0.1133
F 0.3299 0.1264 0.0609
F 0.8191 0.2426 0.6236
F 0.0321 0.5767 0.5989
F 0.3878 0.1146 0.8006
F 0.0087 0.1106 0.3891
F 0.6640 0.5058 0.0276
F 0.5785 0.2358 0.8618
F 0.6865 0.2461 0.2957
F 0.9897 0.5983 0.8966
F 0.0581 0.9936 0.1760
F 0.6122 0.8854 0.1994
F 0.5935 0.5591 0.5360
F 0.3455 0.1671 0.2852
F 0.4065 0.4409 0.4640
F 0.6701 0.8736 0.9391
F 0.0170 0.2794 0.8867
F 0.0103 0.4017 0.1034
F 0.1809 0.7574 0.3764
F 0.6545 0.8329 0.7148
F 0.6825 0.5545 0.2785
F 0.9913 0.8894 0.6109
F 0.4215 0.7642 0.1382
F 0.3175 0.4455 0.7215
F 0.9679 0.4233 0.4011
F 0.9419 0.0064 0.8240
F 0.3360 0.4942 0.9724
F 0.3135 0.7539 0.7043
F 0.3715 0.8735 0.4454

(4)
Material: ErLuMg2
Method: DFT, r2SCAN
State: relaxed

Output
As for the volume: 26.02 A^3/atom. The calculated density is 6.23 g/cm3. Its formation energy is -0.3 eV/f.u. As for the space group: Fm-3m, No. 225.

a = 5.2801 Å, b = 5.2801 Å, c = 5.2801 Å
α = 60.00°, β = 60.00°, γ = 60.00°
Fractional positions:
Er 0.2500 0.2500 0.2500
Lu 0.7500 0.7500 0.7500
Mg 0.0000 0.0000 0.0000
Mg 0.5000 0.5000 0.5000